Cr2O3: relaxed, PBE with a Hubbard U.

Lattice parameters (Å, degrees): 5.0698 5.0698 13.8716 90.00 90.00 120.00
With the nearest neighbours (Å) after each atom.
Space group R-3c (No. 167, hexagonal axes)
Asymmetric unit:
Cr 0.0000 0.0000 0.1519 (multiplicity 12)  6 O 2.01-2.06
O 0.0000 0.3038 0.2500 (multiplicity 18)  4 Cr 2.01-2.06

Cr2O3: relaxed, PBE with a Hubbard U.

Lattice parameters (Å, degrees): 5.1282 5.1282 14.3812 90.00 90.00 120.00
With the nearest neighbours (Å) after each atom.
Space group R3 (No. 146, hexagonal axes)
Asymmetric unit:
Cr 0.0000 0.0000 0.0000 (multiplicity 3)  6 O 2.02-2.04
Cr 0.0000 0.0000 0.1848 (multiplicity 3)  6 O 2.05
Cr 0.0000 0.0000 0.3718 (multiplicity 3)  6 O 2.01-2.04
Cr 0.0000 0.0000 0.6845 (multiplicity 3)  6 O 2.03-2.04
O 0.0158 0.3081 0.2785 (multiplicity 9)  4 Cr 2.02-2.05
O 0.0394 0.6832 0.7587 (multiplicity 9)  4 Cr 2.01-2.05

Cr2O3: relaxed, PBE with a Hubbard U.

Lattice parameters (Å, degrees): 9.0673 9.9374 10.4848 92.64 90.98 92.02
With the nearest neighbours (Å) after each atom.
Space group P1 (No. 1)
Asymmetric unit:
Cr 0.0000 0.0000 0.0000 (multiplicity 1)  4 O 1.91-2.10
Cr 0.0032 0.3802 0.6807 (multiplicity 1)  5 O 1.94-2.11
Cr 0.0227 0.8007 0.7291 (multiplicity 1)  3 O 1.73-1.93
Cr 0.1216 0.6819 0.1241 (multiplicity 1)  4 O 1.86-2.02
Cr 0.1435 0.2529 0.2022 (multiplicity 1)  4 O 1.78-1.88
Cr 0.1580 0.1141 0.7738 (multiplicity 1)  5 O 1.92-2.09
Cr 0.2047 0.2203 0.5064 (multiplicity 1)  5 O 2.00-2.14
Cr 0.2262 0.5840 0.7471 (multiplicity 1)  5 O 1.94-2.09
Cr 0.2453 0.6549 0.4792 (multiplicity 1)  5 O 1.91-2.07
Cr 0.2512 0.4334 0.9663 (multiplicity 1)  4 O 1.87-2.05
Cr 0.2923 0.8978 0.2695 (multiplicity 1)  4 O 1.89-2.08
Cr 0.3638 0.8572 0.9245 (multiplicity 1)  3 O 2.07-2.10
Cr 0.3784 0.1664 0.0018 (multiplicity 1)  4 O 1.89-1.96
Cr 0.3877 0.5801 0.2414 (multiplicity 1)  2 O 1.82-1.93
Cr 0.4262 0.4466 0.5570 (multiplicity 1)  5 O 1.92-2.06
Cr 0.4564 0.8463 0.5889 (multiplicity 1)  4 O 1.98-2.08
Cr 0.4916 0.1623 0.3223 (multiplicity 1)  5 O 1.91-2.11
Cr 0.4993 0.1228 0.7235 (multiplicity 1)  5 O 1.88-2.11
Cr 0.5193 0.6320 0.0209 (multiplicity 1)  6 O 1.99-2.15
Cr 0.6089 0.4566 0.7979 (multiplicity 1)  5 O 1.96-2.12
Cr 0.6480 0.9753 0.1271 (multiplicity 1)  5 O 1.95-2.13
Cr 0.6943 0.9071 0.8482 (multiplicity 1)  5 O 1.96-2.07
Cr 0.6954 0.7570 0.3217 (multiplicity 1)  4 O 1.90-2.06
Cr 0.7045 0.3357 0.5797 (multiplicity 1)  5 O 1.91-2.00
Cr 0.7707 0.4784 0.1075 (multiplicity 1)  3 O 1.80-1.97
Cr 0.7708 0.6972 0.5805 (multiplicity 1)  3 O 1.87-1.97
Cr 0.7812 0.1948 0.8815 (multiplicity 1)  4 O 1.87-2.08
Cr 0.7883 0.0181 0.5505 (multiplicity 1)  4 O 1.89-2.03
Cr 0.8208 0.2158 0.3186 (multiplicity 1)  4 O 1.93-2.04
Cr 0.9202 0.6339 0.9066 (multiplicity 1)  5 O 1.92-2.14
Cr 0.9695 0.4919 0.3774 (multiplicity 1)  4 O 1.90-2.09
Cr 0.9953 0.9696 0.2815 (multiplicity 1)  5 O 1.85-2.05
O 0.0430 0.1938 0.6350 (multiplicity 1)  3 Cr 1.94-2.03
O 0.0804 0.4658 0.8425 (multiplicity 1)  3 Cr 1.97-2.05
O 0.0896 0.3166 0.3613 (multiplicity 1)  1 Cr 1.84
O 0.0953 0.6638 0.6114 (multiplicity 1)  3 Cr 1.93-2.04
O 0.1093 0.8747 0.1473 (multiplicity 1)  3 Cr 1.93-2.08
O 0.1263 0.3973 0.1093 (multiplicity 1)  2 Cr 1.78-1.93
O 0.1414 0.7109 0.8830 (multiplicity 1)  3 Cr 2.04-2.17
O 0.1503 0.6159 0.2994 (multiplicity 1)  3 Cr 2.00-2.21
O 0.1594 0.9264 0.7231 (multiplicity 1)  2 Cr 1.73-1.92
O 0.1855 0.0379 0.3592 (multiplicity 1)  2 Cr 1.94-1.98
O 0.2119 0.4167 0.6005 (multiplicity 1)  4 Cr 2.02-2.21
O 0.2328 0.0221 0.9514 (multiplicity 1)  3 Cr 1.96-2.19
O 0.2757 0.2660 0.8811 (multiplicity 1)  3 Cr 1.87-2.09
O 0.3157 0.1189 0.6370 (multiplicity 1)  3 Cr 1.88-2.04
O 0.3319 0.1959 0.1810 (multiplicity 1)  2 Cr 1.83-1.94
O 0.3398 0.7281 0.1158 (multiplicity 1)  3 Cr 2.02-2.15
O 0.3460 0.8142 0.4253 (multiplicity 1)  3 Cr 1.91-1.98
O 0.3738 0.6563 0.6341 (multiplicity 1)  3 Cr 1.94-2.08
O 0.3949 0.2879 0.4336 (multiplicity 1)  3 Cr 1.91-2.00
O 0.4084 0.5387 0.8592 (multiplicity 1)  4 Cr 2.09-2.12
O 0.4161 0.5564 0.4113 (multiplicity 1)  3 Cr 1.82-1.99
O 0.4166 0.4668 0.0896 (multiplicity 1)  3 Cr 1.93-2.03
O 0.4858 0.9704 0.2502 (multiplicity 1)  3 Cr 1.89-2.02
O 0.4894 0.9198 0.7730 (multiplicity 1)  4 Cr 2.02-2.11
O 0.5193 0.3149 0.6786 (multiplicity 1)  4 Cr 1.98-2.06
O 0.5503 0.1739 0.8994 (multiplicity 1)  3 Cr 1.91-2.11
O 0.5798 0.8221 0.9883 (multiplicity 1)  4 Cr 2.00-2.13
O 0.6096 0.6261 0.1956 (multiplicity 1)  3 Cr 1.94-2.12
O 0.6341 0.5206 0.6122 (multiplicity 1)  4 Cr 1.98-2.15
O 0.6557 0.8563 0.4935 (multiplicity 1)  4 Cr 2.03-2.15
O 0.6568 0.1582 0.2049 (multiplicity 1)  3 Cr 1.94-1.96
O 0.6688 0.1832 0.4555 (multiplicity 1)  3 Cr 1.97-2.11
O 0.7017 0.5642 0.9413 (multiplicity 1)  4 Cr 1.96-2.12
O 0.7167 0.0636 0.7252 (multiplicity 1)  4 Cr 1.99-2.11
O 0.7753 0.0266 0.9879 (multiplicity 1)  4 Cr 1.95-2.07
O 0.7825 0.3187 0.0215 (multiplicity 1)  2 Cr 1.80-1.87
O 0.7951 0.3484 0.7540 (multiplicity 1)  4 Cr 1.99-2.08
O 0.7990 0.8796 0.2168 (multiplicity 1)  3 Cr 1.91-2.05
O 0.8202 0.4039 0.2705 (multiplicity 1)  3 Cr 1.90-1.96
O 0.8326 0.6512 0.4083 (multiplicity 1)  3 Cr 1.90-2.06
O 0.8591 0.6438 0.7316 (multiplicity 1)  2 Cr 1.87-1.92
O 0.8934 0.3899 0.5173 (multiplicity 1)  3 Cr 1.91-1.97
O 0.8941 0.8638 0.6040 (multiplicity 1)  3 Cr 1.88-1.97
O 0.8973 0.0663 0.4066 (multiplicity 1)  3 Cr 1.85-1.93
O 0.9047 0.8422 0.8832 (multiplicity 1)  4 Cr 1.99-2.11
O 0.9287 0.6180 0.0908 (multiplicity 1)  3 Cr 1.86-1.97
O 0.9871 0.1397 0.8818 (multiplicity 1)  3 Cr 1.91-1.96
O 0.9910 0.1222 0.1670 (multiplicity 1)  3 Cr 1.88-2.09

The calculation puts the size of the total moment at 6.0 μB per formula unit.

Cr3O4: relaxed, PBE with a Hubbard U.

Lattice parameters (Å, degrees): 5.8060 5.9080 6.0911 118.27 116.85 91.29
With the nearest neighbours (Å) after each atom.
Space group P-1 (No. 2)
Asymmetric unit:
Cr 0.0000 0.0000 0.0000 (multiplicity 1)  6 O 2.00-2.05
Cr 0.0000 0.0000 0.5000 (multiplicity 1)  6 O 2.05-2.08
Cr 0.0000 0.5000 0.0000 (multiplicity 1)  4 O 2.08-2.13
Cr 0.0000 0.5000 0.5000 (multiplicity 1)  6 O 2.01-2.05
Cr 0.5000 0.0000 0.0000 (multiplicity 1)  6 O 2.05-2.08
Cr 0.5000 0.5000 0.5000 (multiplicity 1)  4 O 2.08-2.13
O 0.2111 0.2343 0.4483 (multiplicity 2)  4 Cr 2.01-2.08
O 0.2148 0.7378 0.9490 (multiplicity 2)  4 Cr 2.01-2.08
O 0.2217 0.2150 0.9502 (multiplicity 2)  4 Cr 2.00-2.13
O 0.2647 0.7716 0.5497 (multiplicity 2)  4 Cr 2.01-2.13

The calculation puts the size of the total moment at 1.0 μB per formula unit.

Number 1: ΔE_f -2.367 eV/atom, raw total energy -239.5 eV/cell. Number 2: ΔE_f -2.304 eV/atom, raw total energy -237.7 eV/cell. Number 3: ΔE_f -1.943 eV/atom, raw total energy -604.9 eV/cell. Number 4: ΔE_f -2.155 eV/atom, raw total energy -110.2 eV/cell.